1.
A geometry-optimized ThGe2Pt2 structure. Source: Materials Project, functional r2SCAN.

Results
Symmetry ... P4/nmm (129)
V ... 190.7 Å³/cell
Formation enthalpy at 0 K ... -1.0022 eV/atom

Lattice parameters (Å, degrees): 4.3890 4.3890 9.9018 90.00 90.00 90.00
With the nearest neighbours (Å) after each atom.
Sites, in units of the cell vectors:
Th1 0.2500 0.2500 0.2451  8 Pt 3.27-3.38, 8 Ge 3.30-3.34
Th2 0.7500 0.7500 0.7549  8 Pt 3.27-3.38, 8 Ge 3.30-3.34
Ge1 0.2500 0.2500 0.8686  5 Pt 2.46-2.55
Ge2 0.2500 0.7500 0.5000  4 Pt 2.50
Ge3 0.7500 0.2500 0.5000  4 Pt 2.50
Ge4 0.7500 0.7500 0.1314  5 Pt 2.46-2.55
Pt1 0.2500 0.2500 0.6206  5 Ge 2.46-2.50
Pt2 0.2500 0.7500 0.0000  4 Ge 2.55
Pt3 0.7500 0.2500 0.0000  4 Ge 2.55
Pt4 0.7500 0.7500 0.3794  5 Ge 2.46-2.50

***

2.
A geometry-optimized Y2Ge3Pt9 structure. Source: Materials Project, functional r2SCAN.

Results
Symmetry ... C2/c (15)
V ... 470.3 Å³/cell
Formation enthalpy at 0 K ... -0.8437 eV/atom

Lattice parameters (Å, degrees): 7.7555 7.7555 10.0853 112.91 112.91 60.24
With the nearest neighbours (Å) after each atom.
Sites, in units of the cell vectors:
Y1 0.0838 0.2540 0.2512  11 Pt 2.94-3.16
Y2 0.2540 0.0838 0.7512  11 Pt 2.94-3.16
Y3 0.7460 0.9162 0.2488  11 Pt 2.94-3.16
Y4 0.9162 0.7460 0.7488  11 Pt 2.94-3.16
Ge1 0.0000 0.5000 0.0000  8 Pt 2.49-2.67
Ge2 0.1383 0.6821 0.5027  6 Pt 2.46-2.71
Ge3 0.3179 0.8617 0.9973  6 Pt 2.46-2.71
Ge4 0.5000 0.0000 0.5000  8 Pt 2.49-2.67
Ge5 0.6821 0.1383 0.0027  6 Pt 2.46-2.71
Ge6 0.8617 0.3179 0.4973  6 Pt 2.46-2.71
Pt1 0.0240 0.8563 0.0755  3 Ge 2.52-2.71, 2 Pt 2.72-2.79
Pt2 0.1437 0.9760 0.4245  3 Ge 2.52-2.71, 2 Pt 2.72-2.79
Pt3 0.1966 0.3585 0.5781  3 Ge 2.54-2.68, 2 Pt 2.73-2.78
Pt4 0.2016 0.5870 0.2579  2 Ge 2.46-2.49, 1 Pt 2.72
Pt5 0.2988 0.4764 0.9217  3 Ge 2.63-2.90, 4 Pt 2.77-2.92
Pt6 0.3585 0.1966 0.0781  3 Ge 2.54-2.68, 2 Pt 2.73-2.78
Pt7 0.3654 0.6346 0.7500  2 Ge 2.47, 2 Pt 2.73
Pt8 0.4130 0.7984 0.2421  2 Ge 2.46-2.49, 1 Pt 2.72
Pt9 0.4764 0.2988 0.4217  3 Ge 2.63-2.90, 4 Pt 2.77-2.92
Pt10 0.5236 0.7012 0.5783  3 Ge 2.63-2.90, 4 Pt 2.77-2.92
Pt11 0.5870 0.2016 0.7579  2 Ge 2.46-2.49, 1 Pt 2.72
Pt12 0.6346 0.3654 0.2500  2 Ge 2.47, 2 Pt 2.73
Pt13 0.6415 0.8034 0.9219  3 Ge 2.54-2.68, 2 Pt 2.73-2.78
Pt14 0.7012 0.5236 0.0783  3 Ge 2.63-2.90, 4 Pt 2.77-2.92
Pt15 0.7984 0.4130 0.7421  2 Ge 2.46-2.49, 1 Pt 2.72
Pt16 0.8034 0.6415 0.4219  3 Ge 2.54-2.68, 2 Pt 2.73-2.78
Pt17 0.8563 0.0240 0.5755  3 Ge 2.52-2.71, 2 Pt 2.72-2.79
Pt18 0.9760 0.1437 0.9245  3 Ge 2.52-2.71, 2 Pt 2.72-2.79

***

3.
A geometry-optimized YGePt structure. Source: Materials Project, functional r2SCAN.

Results
Symmetry ... Pnma (62)
V ... 232.3 Å³/cell
Formation enthalpy at 0 K ... -1.2454 eV/atom

Lattice parameters (Å, degrees): 7.0337 4.3608 7.5725 90.00 90.00 90.00
With the nearest neighbours (Å) after each atom.
Sites, in units of the cell vectors:
Y1 0.0029 0.2500 0.2050  6 Pt 3.00-3.21, 6 Ge 3.01-3.19
Y2 0.4971 0.7500 0.7050  6 Pt 3.00-3.21, 6 Ge 3.01-3.19
Y3 0.5029 0.2500 0.2950  6 Pt 3.00-3.21, 6 Ge 3.01-3.19
Y4 0.9971 0.7500 0.7950  6 Pt 3.00-3.21, 6 Ge 3.01-3.19
Ge1 0.1902 0.2500 0.5884  4 Pt 2.54-2.78
Ge2 0.3098 0.7500 0.0884  4 Pt 2.54-2.78
Ge3 0.6902 0.2500 0.9116  4 Pt 2.54-2.78
Ge4 0.8098 0.7500 0.4116  4 Pt 2.54-2.78
Pt1 0.2045 0.7500 0.4167  4 Ge 2.54-2.78
Pt2 0.2955 0.2500 0.9167  4 Ge 2.54-2.78
Pt3 0.7045 0.7500 0.0833  4 Ge 2.54-2.78
Pt4 0.7955 0.2500 0.5833  4 Ge 2.54-2.78